Entry from the Materials Project database: a geometry-optimized BaCeC2O6F structure (PBE). Values from VASP.

The calculation puts the total magnetic moment at 1.0 μB/f.u. Its formation energy is -2.866 eV/atom. The energy above the lowest structure with this stoichiometry comes out at 11 meV per atom.

```
&SYSTEM
  ibrav = 0, nat = 66, ntyp = 5
/
ATOMIC_SPECIES
Ba 137.33 Ba.upf
Ce 140.12 Ce.upf
C 12.01 C.upf
O 16.00 O.upf
F 19.00 F.upf
CELL_PARAMETERS angstrom
7.339 0.000 0.000
-3.670 6.356 0.000
0.000 0.000 18.656
ATOMIC_POSITIONS crystal
Ba 0.000 0.000 0.000
Ba 0.000 0.000 0.500
Ba 0.333 0.667 0.447
Ba 0.333 0.667 0.947
Ba 0.667 0.333 0.053
Ba 0.667 0.333 0.553
Ce 0.000 0.344 0.250
Ce 0.000 0.656 0.750
Ce 0.344 0.000 0.250
Ce 0.344 0.344 0.750
Ce 0.656 0.000 0.750
Ce 0.656 0.656 0.250
C 0.142 0.359 0.618
C 0.142 0.782 0.118
C 0.218 0.359 0.118
C 0.218 0.858 0.618
C 0.359 0.142 0.882
C 0.359 0.218 0.382
C 0.641 0.782 0.618
C 0.641 0.858 0.118
C 0.782 0.142 0.382
C 0.782 0.641 0.882
C 0.858 0.218 0.882
C 0.858 0.641 0.382
O 0.013 0.268 0.120
O 0.013 0.745 0.620
O 0.076 0.392 0.558
O 0.076 0.685 0.058
O 0.095 0.412 0.679
O 0.095 0.683 0.179
O 0.255 0.268 0.620
O 0.255 0.987 0.120
O 0.268 0.013 0.380
O 0.268 0.255 0.880
O 0.315 0.392 0.058
O 0.315 0.924 0.558
O 0.317 0.412 0.179
O 0.317 0.905 0.679
O 0.392 0.076 0.942
O 0.392 0.315 0.442
O 0.412 0.095 0.821
O 0.412 0.317 0.321
O 0.588 0.683 0.679
O 0.588 0.905 0.179
O 0.608 0.685 0.558
O 0.608 0.924 0.058
O 0.683 0.095 0.321
O 0.683 0.588 0.821
O 0.685 0.076 0.442
O 0.685 0.608 0.942
O 0.732 0.745 0.120
O 0.732 0.987 0.620
O 0.745 0.013 0.880
O 0.745 0.732 0.380
O 0.905 0.317 0.821
O 0.905 0.588 0.321
O 0.924 0.315 0.942
O 0.924 0.608 0.442
O 0.987 0.255 0.380
O 0.987 0.732 0.880
F 0.000 0.000 0.250
F 0.000 0.000 0.750
F 0.333 0.667 0.298
F 0.333 0.667 0.798
F 0.667 0.333 0.202
F 0.667 0.333 0.702
```